# 1
Compound: Zn4SO13
Source: Materials Project
Functional: PBE-GGA
Structure: optimized geometry

Structure (CIF):
```
data_Zn4SO13
_chemical_formula_sum 'Zn8 S2 O26'
_cell_length_a 8.092
_cell_length_b 8.235
_cell_length_c 10.008
_cell_angle_alpha 103.15
_cell_angle_beta 100.15
_cell_angle_gamma 118.71
_space_group_name_H-M_alt 'P -1'
_space_group_IT_number 2
loop_
_space_group_symop_operation_xyz
'x,y,z'
'-x,-y,-z'
loop_
_atom_site_label
_atom_site_type_symbol
_atom_site_fract_x
_atom_site_fract_y
_atom_site_fract_z
Zn1 Zn 0.082 0.362 0.488
Zn2 Zn 0.212 0.073 0.501
Zn3 Zn 0.361 0.776 0.492
Zn4 Zn 0.409 0.398 0.299
S1 S 0.028 0.671 0.185
O1 O 0.029 0.927 0.598
O2 O 0.058 0.500 0.154
O3 O 0.088 0.759 0.350
O4 O 0.162 0.821 0.134
O5 O 0.168 0.644 0.590
O6 O 0.183 0.404 0.884
O7 O 0.237 0.207 0.084
O8 O 0.243 0.495 0.355
O9 O 0.290 0.123 0.984
O10 O 0.319 0.376 0.610
O11 O 0.391 0.220 0.401
O12 O 0.441 0.056 0.594
O13 O 0.470 0.177 0.012
```

***

# 2
Compound: ErRu3
Source: Materials Project
Functional: PBE-GGA
Structure: optimized geometry

Structure (CIF):
```
data_ErRu3
_chemical_formula_sum 'Er2 Ru6'
_cell_length_a 4.020
_cell_length_b 4.020
_cell_length_c 8.114
_cell_angle_alpha 90.00
_cell_angle_beta 90.00
_cell_angle_gamma 90.00
_space_group_name_H-M_alt 'I 4/m m m'
_space_group_IT_number 139
_space_group_name_Hall '-I 4 2'
loop_
_atom_site_label
_atom_site_type_symbol
_atom_site_fract_x
_atom_site_fract_y
_atom_site_fract_z
Er1 Er 0.000 0.000 0.000
Ru1 Ru 0.000 0.000 0.500
Ru2 Ru 0.000 0.500 0.250
```

***

no.,calculated formation energy (eV per atom),theoretical density (g/cm3)
1,-0.491,3.104
2,0.130,11.916